w.
This record from the Materials Project database describes a relaxed Na3YSi6O15 crystal. The functional is PBE.

Calculated values
V: 697.3 Å³/cell
magnetization: 0.002 μB per formula unit

Cell: 10.276 10.276 10.620 Å, 120.95 120.95 48.90°
Fractional positions:
Na 0.240 0.741 0.741
Na 0.259 0.760 0.259
Na 0.290 0.290 0.117
Na 0.710 0.710 0.883
Na 0.741 0.240 0.741
Na 0.760 0.259 0.259
Y 0.000 0.000 0.000
Y 0.500 0.500 0.500
Si 0.027 0.672 0.316
Si 0.153 0.153 0.437
Si 0.171 0.529 0.883
Si 0.328 0.973 0.684
Si 0.347 0.347 0.632
Si 0.471 0.829 0.117
Si 0.529 0.171 0.883
Si 0.653 0.653 0.368
Si 0.672 0.027 0.316
Si 0.829 0.471 0.117
Si 0.847 0.847 0.563
Si 0.973 0.328 0.684
O 0.011 0.703 0.477
O 0.014 0.486 0.820
O 0.075 0.075 0.260
O 0.111 0.722 0.002
O 0.137 0.137 0.735
O 0.203 0.511 0.737
O 0.223 0.607 0.329
O 0.250 0.250 0.473
O 0.278 0.889 0.998
O 0.297 0.989 0.523
O 0.362 0.362 0.960
O 0.393 0.777 0.671
O 0.425 0.425 0.609
O 0.486 0.014 0.820
O 0.489 0.797 0.263
O 0.511 0.203 0.737
O 0.514 0.986 0.180
O 0.575 0.575 0.391
O 0.607 0.223 0.329
O 0.638 0.638 0.040
O 0.703 0.011 0.477
O 0.722 0.111 0.002
O 0.750 0.750 0.527
O 0.777 0.393 0.671
O 0.797 0.489 0.263
O 0.863 0.863 0.265
O 0.889 0.278 0.998
O 0.925 0.925 0.740
O 0.986 0.514 0.180
O 0.989 0.297 0.523



x.
This record from the Materials Project database describes a relaxed Na3YSi6O15 crystal. The functional is PBE.

Calculated values
V: 1421.4 Å³/cell
magnetization: 0.000 μB per formula unit

Cell: 11.666 11.666 10.626 Å, 90.00 90.00 100.63°
Fractional positions:
Na 0.029 0.471 0.750
Na 0.072 0.928 0.750
Na 0.239 0.239 0.000
Na 0.261 0.261 0.500
Na 0.428 0.572 0.250
Na 0.471 0.029 0.250
Na 0.529 0.971 0.750
Na 0.572 0.428 0.750
Na 0.739 0.739 0.500
Na 0.761 0.761 0.000
Na 0.928 0.072 0.250
Na 0.971 0.529 0.250
Y 0.159 0.341 0.250
Y 0.341 0.159 0.750
Y 0.659 0.841 0.250
Y 0.841 0.659 0.750
Si 0.028 0.190 0.800
Si 0.029 0.760 0.480
Si 0.085 0.705 0.965
Si 0.190 0.028 0.200
Si 0.205 0.585 0.465
Si 0.240 0.971 0.480
Si 0.260 0.529 0.980
Si 0.295 0.915 0.965
Si 0.310 0.472 0.700
Si 0.415 0.795 0.465
Si 0.471 0.740 0.980
Si 0.472 0.310 0.300
Si 0.528 0.690 0.700
Si 0.529 0.260 0.020
Si 0.585 0.205 0.535
Si 0.690 0.528 0.300
Si 0.705 0.085 0.035
Si 0.740 0.471 0.020
Si 0.760 0.029 0.520
Si 0.795 0.415 0.535
Si 0.810 0.972 0.800
Si 0.915 0.295 0.035
Si 0.971 0.240 0.520
Si 0.972 0.810 0.200
O 0.002 0.722 0.087
O 0.012 0.657 0.843
O 0.013 0.263 0.669
O 0.068 0.932 0.201
O 0.078 0.252 0.425
O 0.107 0.893 0.494
O 0.115 0.667 0.514
O 0.154 0.157 0.819
O 0.157 0.154 0.181
O 0.157 0.512 0.343
O 0.166 0.834 0.932
O 0.167 0.615 0.014
O 0.222 0.502 0.587
O 0.237 0.487 0.831
O 0.248 0.422 0.075
O 0.252 0.078 0.575
O 0.263 0.013 0.331
O 0.278 0.998 0.087
O 0.333 0.885 0.514
O 0.334 0.666 0.432
O 0.343 0.346 0.681
O 0.343 0.988 0.843
O 0.346 0.343 0.319
O 0.385 0.833 0.014
O 0.393 0.607 0.994
O 0.422 0.248 0.925
O 0.432 0.568 0.701
O 0.487 0.237 0.169
O 0.488 0.843 0.343
O 0.498 0.778 0.587
O 0.502 0.222 0.413
O 0.512 0.157 0.657
O 0.513 0.763 0.831
O 0.568 0.432 0.299
O 0.578 0.752 0.075
O 0.607 0.393 0.006
O 0.615 0.167 0.986
O 0.654 0.657 0.681
O 0.657 0.012 0.157
O 0.657 0.654 0.319
O 0.666 0.334 0.568
O 0.667 0.115 0.486
O 0.722 0.002 0.913
O 0.737 0.987 0.669
O 0.748 0.922 0.425
O 0.752 0.578 0.925
O 0.763 0.513 0.169
O 0.778 0.498 0.413
O 0.833 0.385 0.986
O 0.834 0.166 0.068
O 0.843 0.488 0.657
O 0.843 0.846 0.819
O 0.846 0.843 0.181
O 0.885 0.333 0.486
O 0.893 0.107 0.506
O 0.922 0.748 0.575
O 0.932 0.068 0.799
O 0.987 0.737 0.331
O 0.988 0.343 0.157
O 0.998 0.278 0.913



Among the structures shown above, w is the most stable, with the second-best lying 8 meV/atom higher.